Density functional theory data (PBE) for GaH6C2SeI3 after structural relaxation.

```
data_GaH6C2SeI3
_chemical_formula_sum 'Ga4 H24 C8 Se4 I12'
_cell_length_a 7.882
_cell_length_b 13.075
_cell_length_c 12.745
_cell_angle_alpha 90.00
_cell_angle_beta 115.10
_cell_angle_gamma 90.00
_symmetry_space_group_name_H-M 'P 1 21/c 1'
_symmetry_Int_Tables_number 14
loop_
_symmetry_equiv_pos_as_xyz
'x,y,z'
'-x,-y,-z'
'-x,y+1/2,-z+1/2'
'x,-y+1/2,z+1/2'
loop_
_atom_site_label
_atom_site_fract_x
_atom_site_fract_y
_atom_site_fract_z
_atom_site_occupancy
Ga1 0.232 0.201 0.361 1
H1 0.002 0.630 0.838 1
H2 0.178 0.727 0.903 1
H3 0.179 0.603 0.260 1
H4 0.241 0.604 0.864 1
H5 0.267 0.641 0.155 1
H6 0.379 0.687 0.302 1
C1 0.133 0.663 0.842 1
C2 0.246 0.664 0.232 1
Se1 0.083 0.715 0.687 1
I1 0.191 0.096 0.181 1
I2 0.292 0.094 0.541 1
I3 0.453 0.145 0.902 1
```

The MP2020-corrected energy comes out at -4.198 eV/atom. As for the total energy: -0.15107 hartree per atom. The calculation puts the calculated formation energy at -0.3591 eV per atom.